VASP calculation (GGA-PBE) on an optimized crystal structure of Sr4Bi14O25.

a b c (Å): 3.700 10.683 22.303
angles (deg): 103.10 91.40 95.05
Fractional coordinates of all 43 atoms:
Sr (0.460, 0.003, 0.836)
Sr (0.932, 0.965, 0.679)
Sr (0.348, 0.012, 0.444)
Sr (0.322, 0.976, 0.295)
Bi (0.041, 0.035, 0.989)
Bi (0.635, 0.352, 0.957)
Bi (0.053, 0.300, 0.789)
Bi (0.868, 0.698, 0.877)
Bi (0.490, 0.228, 0.617)
Bi (0.355, 0.664, 0.712)
Bi (0.952, 0.302, 0.405)
Bi (0.969, 0.498, 0.569)
Bi (0.628, 0.747, 0.530)
Bi (0.802, 0.047, 0.159)
Bi (0.288, 0.506, 0.242)
Bi (0.153, 0.389, 0.093)
Bi (0.753, 0.682, 0.166)
Bi (0.226, 0.688, 0.011)
O (0.584, 0.123, 0.953)
O (0.027, 0.557, 0.346)
O (0.977, 0.103, 0.786)
O (0.939, 0.898, 0.882)
O (0.987, 0.270, 0.545)
O (0.123, 0.329, 0.895)
O (0.402, 0.938, 0.587)
O (0.412, 0.868, 0.726)
O (0.301, 0.105, 0.212)
O (0.004, 0.218, 0.679)
O (0.901, 0.185, 0.483)
O (0.041, 0.952, 0.564)
O (0.681, 0.569, 0.967)
O (0.560, 0.363, 0.302)
O (0.839, 0.969, 0.372)
O (0.675, 0.554, 0.344)
O (0.414, 0.192, 0.380)
O (0.895, 0.329, 0.300)
O (0.067, 0.181, 0.079)
O (0.774, 0.885, 0.212)
O (0.893, 0.862, 0.073)
O (0.510, 0.509, 0.506)
O (0.311, 0.656, 0.809)
O (0.634, 0.876, 0.023)
O (0.537, 0.433, 0.634)

=====

VASP calculation (GGA-PBE) on an optimized crystal structure of K2NaSbF6.

a b c (Å): 6.329 6.329 6.329
angles (deg): 60.00 60.00 60.00
Fractional coordinates of all 10 atoms:
K (0.750, 0.750, 0.750)
K (0.250, 0.250, 0.250)
Na (0.500, 0.500, 0.500)
Sb (0.000, 0.000, 0.000)
F (0.755, 0.245, 0.245)
F (0.245, 0.245, 0.755)
F (0.245, 0.755, 0.755)
F (0.245, 0.755, 0.245)
F (0.755, 0.245, 0.755)
F (0.755, 0.755, 0.245)

=====

Calculated E_tot (eV/atom), listed in the same order as above: -5.324; -4.507